Here is crystalline FeOF at its relaxed geometry from Materials Project. Energies are from PBE with a Hubbard U.

The structure in CIF format:
```
data_FeOF
_space_group_name_H-M_alt 'P 1 m 1'
_space_group_IT_number 6
_space_group_name_Hall 'P -2y'
_cell_length_a 14.130
_cell_length_b 3.105
_cell_length_c 14.235
_cell_angle_alpha 90.00
_cell_angle_beta 90.19
_cell_angle_gamma 90.00
loop_
_atom_site_label
_atom_site_fract_x
_atom_site_fract_y
_atom_site_fract_z
Fe1 0.000 0.000 0.000
Fe2 0.003 0.000 0.704
Fe3 0.162 0.500 0.853
Fe4 0.175 0.500 0.183
Fe5 0.176 0.500 0.520
Fe6 0.309 0.000 0.692
Fe7 0.310 0.000 0.009
Fe8 0.313 0.000 0.352
Fe9 0.497 0.500 0.529
Fe10 0.501 0.500 0.177
Fe11 0.513 0.500 0.844
Fe12 0.649 0.000 0.015
Fe13 0.660 0.000 0.677
Fe14 0.672 0.000 0.365
Fe15 0.825 0.500 0.525
Fe16 0.840 0.500 0.190
Fe17 0.844 0.500 0.851
Fe18 0.977 0.000 0.360
O1 0.064 0.500 0.753
O2 0.100 0.000 0.917
O3 0.225 0.000 0.792
O4 0.227 0.000 0.121
O5 0.229 0.000 0.456
O6 0.261 0.500 0.625
O7 0.263 0.500 0.951
O8 0.266 0.500 0.288
O9 0.563 0.000 0.125
O10 0.564 0.000 0.783
O11 0.597 0.500 0.618
O12 0.597 0.500 0.956
O13 0.725 0.500 0.417
O14 0.763 0.000 0.587
O15 0.892 0.000 0.459
O16 0.893 0.000 0.788
O17 0.926 0.500 0.288
O18 0.931 0.500 0.956
F1 0.059 0.500 0.089
F2 0.060 0.500 0.420
F3 0.095 0.000 0.582
F4 0.096 0.000 0.254
F5 0.395 0.500 0.085
F6 0.395 0.500 0.753
F7 0.398 0.500 0.421
F8 0.426 0.000 0.588
F9 0.432 0.000 0.916
F10 0.433 0.000 0.253
F11 0.555 0.000 0.450
F12 0.595 0.500 0.291
F13 0.728 0.500 0.755
F14 0.733 0.500 0.087
F15 0.758 0.000 0.246
F16 0.763 0.000 0.922
F17 0.896 0.000 0.120
F18 0.936 0.500 0.625
```

Summary:
The value obtained for the theoretical density is 4.35 g/cm³. The calculation puts the raw total energy at -323.124 eV per cell. The MP2020-corrected energy is -7.119 eV/atom. Its formation energy is -2.0079 eV/atom.